Below is GdFe4Cu3O12 after structural relaxation, with properties calculated at the PBE with a Hubbard U level.

Computed properties:
Density   6.1 g/cm³
DFT formation energy   -1.382 eV per atom
Calculated volume   206.6 Å³/f.u.
DFT total energy   -259.99 eV per cell

a b c (Å): 7.4484 7.4484 7.4484
angles (deg): 90.00 90.00 90.00
Space group Im-3 (No. 204)
Symmetry-distinct sites (fractional):
1 Gd 0.0000 0.0000 0.0000 (multiplicity 2)
2 Fe 0.2500 0.2500 0.2500 (multiplicity 8)
3 Cu 0.0000 0.0000 0.5000 (multiplicity 6)
4 O 0.0000 0.1643 0.3095 (multiplicity 24)

Below is Fe6CuP4H16O28 after structural relaxation, with properties calculated at the PBE with a Hubbard U level.

Computed properties:
Density   3.1 g/cm³
DFT formation energy   -1.760 eV per atom
Calculated volume   523.9 Å³/f.u.
DFT total energy   -333.42 eV per cell

a b c (Å): 7.7839 7.9755 10.3314
angles (deg): 112.58 92.00 114.57
Space group P-1 (No. 2)
Symmetry-distinct sites (fractional):
1 Fe 0.2168 0.4368 0.2540 (multiplicity 2)
2 Fe 0.2538 0.2426 0.7416 (multiplicity 2)
3 Fe 0.2592 0.0406 0.2244 (multiplicity 2)
4 Cu 0.5000 0.5000 0.5000 (multiplicity 1)
5 P 0.1530 0.8319 0.4485 (multiplicity 2)
6 P 0.3399 0.6541 0.0359 (multiplicity 2)
7 H 0.0756 0.2238 0.9317 (multiplicity 2)
8 H 0.0909 0.9069 0.8315 (multiplicity 2)
9 H 0.1461 0.7839 0.9044 (multiplicity 2)
10 H 0.1584 0.2760 0.4534 (multiplicity 2)
11 H 0.3376 0.2284 0.0489 (multiplicity 2)
12 H 0.3446 0.8185 0.6819 (multiplicity 2)
13 H 0.3698 0.6892 0.7616 (multiplicity 2)
14 H 0.4828 0.2407 0.5761 (multiplicity 2)
15 O 0.0385 0.1146 0.8327 (multiplicity 2)
16 O 0.0655 0.2286 0.5940 (multiplicity 2)
17 O 0.0771 0.7693 0.8139 (multiplicity 2)
18 O 0.1768 0.6379 0.4112 (multiplicity 2)
19 O 0.2042 0.5116 0.0969 (multiplicity 2)
20 O 0.2281 0.9637 0.6141 (multiplicity 2)
21 O 0.2418 0.2992 0.3838 (multiplicity 2)
22 O 0.2668 0.2088 0.1236 (multiplicity 2)
23 O 0.2820 0.9576 0.3743 (multiplicity 2)
24 O 0.2830 0.8279 0.0572 (multiplicity 2)
25 O 0.3053 0.5326 0.8701 (multiplicity 2)
26 O 0.4299 0.7648 0.7045 (multiplicity 2)
27 O 0.4441 0.2532 0.8918 (multiplicity 2)
28 O 0.4836 0.3687 0.6426 (multiplicity 2)

Below is Rb4Fe8CuH6Se16O50 after structural relaxation, with properties calculated at the PBE with a Hubbard U level.

Computed properties:
Density   3.7 g/cm³
DFT formation energy   -1.456 eV per atom
Calculated volume   1303.7 Å³/f.u.
DFT total energy   -470.86 eV per cell

a b c (Å): 7.8974 10.5499 16.0421
angles (deg): 77.71 89.78 86.73
Space group P-1 (No. 2)
Symmetry-distinct sites (fractional):
1 Rb 0.0173 0.1982 0.2639 (multiplicity 2)
2 Rb 0.3971 0.1947 0.8253 (multiplicity 2)
3 Fe 0.0495 0.2496 0.9970 (multiplicity 2)
4 Fe 0.0932 0.7619 0.3063 (multiplicity 2)
5 Fe 0.2530 0.1435 0.5227 (multiplicity 2)
6 Fe 0.4753 0.5959 0.7708 (multiplicity 2)
7 Cu 0.0000 0.5000 0.5000 (multiplicity 1)
8 H 0.2913 0.8877 0.9051 (multiplicity 2)
9 H 0.3512 0.3318 0.6008 (multiplicity 2)
10 H 0.4948 0.7803 0.3877 (multiplicity 2)
11 Se 0.0556 0.9613 0.1186 (multiplicity 2)
12 Se 0.1597 0.4845 0.6813 (multiplicity 2)
13 Se 0.1706 0.8721 0.4577 (multiplicity 2)
14 Se 0.1898 0.5339 0.9337 (multiplicity 2)
15 Se 0.2170 0.6062 0.1539 (multiplicity 2)
16 Se 0.3051 0.4370 0.4008 (multiplicity 2)
17 Se 0.4614 0.2488 0.0800 (multiplicity 2)
18 Se 0.4717 0.8779 0.6347 (multiplicity 2)
19 O 0.0085 0.3829 0.0718 (multiplicity 2)
20 O 0.0151 0.9285 0.2280 (multiplicity 2)
21 O 0.0221 0.1635 0.5858 (multiplicity 2)
22 O 0.0471 0.8844 0.9053 (multiplicity 2)
23 O 0.0971 0.1218 0.9207 (multiplicity 2)
24 O 0.1066 0.3244 0.7189 (multiplicity 2)
25 O 0.1433 0.3907 0.9048 (multiplicity 2)
26 O 0.1504 0.5664 0.3963 (multiplicity 2)
27 O 0.1580 0.0408 0.4377 (multiplicity 2)
28 O 0.1727 0.3164 0.4478 (multiplicity 2)
29 O 0.1877 0.7117 0.0553 (multiplicity 2)
30 O 0.1969 0.4910 0.5736 (multiplicity 2)
31 O 0.2492 0.7183 0.2191 (multiplicity 2)
32 O 0.2676 0.6207 0.8385 (multiplicity 2)
33 O 0.2812 0.8360 0.3703 (multiplicity 2)
34 O 0.2880 0.1861 0.0459 (multiplicity 2)
35 O 0.2943 0.9816 0.6103 (multiplicity 2)
36 O 0.3042 0.4148 0.2977 (multiplicity 2)
37 O 0.3687 0.4646 0.7138 (multiplicity 2)
38 O 0.3688 0.7399 0.6782 (multiplicity 2)
39 O 0.3790 0.2379 0.6083 (multiplicity 2)
40 O 0.4003 0.2696 0.1791 (multiplicity 2)
41 O 0.4133 0.9042 0.8930 (multiplicity 2)
42 O 0.4250 0.5551 0.1396 (multiplicity 2)
43 O 0.4787 0.1522 0.4658 (multiplicity 2)